Entry 1:
Density functional theory data (PBE with a Hubbard U) for a relaxed structure of Li8CoO4F2.

a b c (Å): 6.3458 9.8640 9.1835
angles (deg): 97.62 76.82 91.22
Closest atoms and distances in Å follow each position.
Element x y z (fractional)
Li 0.8424 0.5018 0.1176  2 O 1.89-1.94, 2 F 1.96-2.01
Li 0.0924 0.7519 0.6176  2 O 1.89-1.94, 2 F 1.96-2.00
Li 0.3426 0.0018 0.1178  2 O 1.89-1.93, 2 F 1.96-2.01
Li 0.5926 0.2517 0.6177  2 O 1.89-1.94, 2 F 1.96-2.01
Li 0.9074 0.2482 0.3822  2 O 1.89-1.93, 2 F 1.96-2.01
Li 0.1576 0.4981 0.8824  2 O 1.89-1.94, 2 F 1.96-2.00
Li 0.4076 0.7482 0.3824  2 O 1.89-1.94, 2 F 1.96-2.01
Li 0.6574 0.9983 0.8823  2 O 1.89-1.94, 2 F 1.96-2.01
Li 0.8944 0.2546 0.0577  3 O 1.90-2.05, 1 F 1.93
Li 0.1444 0.5046 0.5577  3 O 1.90-2.06, 1 F 1.93
Li 0.3947 0.7546 0.0578  3 O 1.90-2.05, 1 F 1.93
Li 0.6447 0.0046 0.5578  3 O 1.90-2.05, 1 F 1.93
Li 0.8553 0.4954 0.4422  3 O 1.90-2.05, 1 F 1.93
Li 0.1056 0.7454 0.9423  3 O 1.90-2.06, 1 F 1.93
Li 0.3556 0.9954 0.4423  3 O 1.90-2.05, 1 F 1.93
Li 0.6053 0.2454 0.9422  3 O 1.90-2.05, 1 F 1.93
Li 0.1499 0.5081 0.2403  3 O 1.91-2.08, 1 F 2.00
Li 0.4000 0.7580 0.7403  3 O 1.91-2.08, 1 F 2.00
Li 0.6502 0.0080 0.2402  3 O 1.91-2.08, 1 F 2.00
Li 0.9000 0.2581 0.7402  3 O 1.91-2.08, 1 F 2.00
Li 0.5998 0.2420 0.2598  3 O 1.91-2.08, 1 F 2.00
Li 0.8500 0.4920 0.7597  3 O 1.91-2.08, 1 F 2.00
Li 0.1001 0.7419 0.2597  3 O 1.91-2.08, 1 F 2.00
Li 0.3500 0.9919 0.7598  3 O 1.91-2.08, 1 F 2.00
Li 0.5111 0.4973 0.3021  2 O 1.96-1.98
Li 0.7613 0.7474 0.8022  2 O 1.96-1.98
Li 0.0112 0.9973 0.3022  2 O 1.96-1.98
Li 0.2611 0.2472 0.8021  2 O 1.96-1.98
Li 0.2388 0.2527 0.1978  2 O 1.96-1.98
Li 0.4887 0.5026 0.6978  2 O 1.96-1.98
Li 0.7389 0.7527 0.1979  2 O 1.96-1.98
Li 0.9889 0.0028 0.6979  2 O 1.96-1.98
Co 0.5000 0.5000 0.0000  4 O 2.03-2.12
Co 0.7500 0.7500 0.5000  4 O 2.03-2.12
Co 0.0000 0.0000 0.0000  4 O 2.04-2.12
Co 0.2500 0.2500 0.5000  4 O 2.04-2.12
O 0.6134 0.3688 0.1181  5 Li 1.90-2.05, 1 Co 2.03
O 0.8635 0.6189 0.6181  5 Li 1.90-2.06, 1 Co 2.03
O 0.1139 0.8688 0.1182  5 Li 1.90-2.05, 1 Co 2.04
O 0.3639 0.1187 0.6182  5 Li 1.90-2.05, 1 Co 2.04
O 0.1361 0.3812 0.3818  5 Li 1.90-2.05, 1 Co 2.04
O 0.3865 0.6311 0.8819  5 Li 1.90-2.06, 1 Co 2.03
O 0.6366 0.8812 0.3819  5 Li 1.90-2.05, 1 Co 2.03
O 0.8861 0.1313 0.8818  5 Li 1.90-2.05, 1 Co 2.04
O 0.8587 0.6158 0.2967  5 Li 1.89-2.08
O 0.1086 0.8658 0.7968  5 Li 1.89-2.08
O 0.3588 0.1158 0.2968  5 Li 1.89-2.08
O 0.6088 0.3658 0.7967  5 Li 1.89-2.08
O 0.8912 0.1342 0.2032  5 Li 1.89-2.08
O 0.1414 0.3842 0.7032  5 Li 1.89-2.08
O 0.3913 0.6342 0.2033  5 Li 1.89-2.08
O 0.6412 0.8842 0.7033  5 Li 1.89-2.08
F 0.1172 0.3912 0.0514  4 Li 1.93-2.01
F 0.3672 0.6413 0.5515  4 Li 1.93-2.00
F 0.6178 0.8912 0.0514  4 Li 1.93-2.01
F 0.8679 0.1411 0.5513  4 Li 1.93-2.01
F 0.6322 0.3588 0.4486  4 Li 1.93-2.01
F 0.8828 0.6087 0.9485  4 Li 1.93-2.00
F 0.1328 0.8588 0.4486  4 Li 1.93-2.01
F 0.3821 0.1089 0.9488  4 Li 1.93-2.01

Properties
Energy relative to the elements   -211 kJ per mole of atoms
Distance to the lowest polymorph of the same formula   0.00 eV/f.u.
Total energy after the MP2020 corrections   -0.1930 Ha/atom
Uncorrected energy   -4.897 eV/atom

Entry 2:
Density functional theory data (PBE with a Hubbard U) for a relaxed structure of ZnFeBiO5.

a b c (Å): 5.2162 10.4111 15.6027
angles (deg): 90.00 90.00 90.00
Closest atoms and distances in Å follow each position.
Element x y z (fractional)
Zn 0.4883 0.3659 0.5272  5 O 1.99-2.09
Zn 0.9883 0.1341 0.5272  5 O 1.99-2.09
Zn 0.9883 0.6341 0.9728  5 O 1.99-2.09
Zn 0.0117 0.3659 0.0272  5 O 1.99-2.09
Zn 0.5117 0.1341 0.0272  5 O 1.99-2.09
Zn 0.0117 0.8659 0.4728  5 O 1.99-2.09
Zn 0.5117 0.6341 0.4728  5 O 1.99-2.09
Zn 0.4883 0.8659 0.9728  5 O 1.99-2.09
Fe 0.9141 0.3478 0.3953  5 O 1.88-2.07
Fe 0.5859 0.8478 0.6047  5 O 1.88-2.07
Fe 0.0859 0.6522 0.6047  5 O 1.88-2.07
Fe 0.4141 0.1522 0.3953  5 O 1.88-2.07
Fe 0.0859 0.1522 0.8953  5 O 1.88-2.07
Fe 0.9141 0.8478 0.1047  5 O 1.88-2.07
Fe 0.5859 0.3478 0.8953  5 O 1.88-2.07
Fe 0.4141 0.6522 0.1047  5 O 1.88-2.07
Bi 0.1514 0.8608 0.7784  6 O 2.16-2.29
Bi 0.8486 0.1392 0.2216  6 O 2.16-2.29
Bi 0.3486 0.3608 0.2216  6 O 2.16-2.29
Bi 0.8486 0.6392 0.2784  6 O 2.16-2.29
Bi 0.6514 0.1392 0.7216  6 O 2.16-2.29
Bi 0.6514 0.6392 0.7784  6 O 2.16-2.29
Bi 0.3486 0.8608 0.2784  6 O 2.16-2.29
Bi 0.1514 0.3608 0.7216  6 O 2.16-2.29
O 0.6479 0.2867 0.3069  1 Fe 2.06, 2 Bi 2.19-2.29
O 0.2887 0.0246 0.9468  1 Fe 1.88, 2 Zn 1.99-2.06
O 0.2113 0.5246 0.0532  1 Fe 1.88, 2 Zn 1.99-2.06
O 0.4763 0.7983 0.8531  1 Zn 2.00, 2 Bi 2.16-2.22
O 0.0237 0.2983 0.1469  1 Zn 2.00, 2 Bi 2.16-2.22
O 0.6479 0.7867 0.1931  1 Fe 2.06, 2 Bi 2.19-2.29
O 0.0237 0.7983 0.3531  1 Zn 2.00, 2 Bi 2.16-2.22
O 0.8521 0.7867 0.6931  1 Fe 2.06, 2 Bi 2.19-2.29
O 0.2887 0.5246 0.5532  1 Fe 1.88, 2 Zn 1.99-2.06
O 0.3521 0.7133 0.6931  1 Fe 2.06, 2 Bi 2.19-2.29
O 0.8521 0.2867 0.8069  1 Fe 2.06, 2 Bi 2.19-2.29
O 0.6959 0.2202 0.4665  2 Fe 1.97-2.07, 2 Zn 2.01-2.09
O 0.7887 0.9754 0.5532  1 Fe 1.88, 2 Zn 1.99-2.06
O 0.5237 0.7017 0.3531  1 Zn 2.00, 2 Bi 2.16-2.22
O 0.0920 0.9727 0.1868  1 Fe 2.05, 2 Bi 2.22-2.28
O 0.7887 0.4754 0.9468  1 Fe 1.88, 2 Zn 1.99-2.06
O 0.3521 0.2133 0.8069  1 Fe 2.06, 2 Bi 2.19-2.29
O 0.9763 0.2017 0.6469  1 Zn 2.00, 2 Bi 2.16-2.22
O 0.1959 0.7798 0.0335  2 Fe 1.97-2.07, 2 Zn 2.01-2.09
O 0.2113 0.0246 0.4468  1 Fe 1.88, 2 Zn 1.99-2.06
O 0.3041 0.7798 0.5335  2 Fe 1.97-2.07, 2 Zn 2.01-2.09
O 0.9080 0.0273 0.8132  1 Fe 2.05, 2 Bi 2.22-2.28
O 0.5237 0.2017 0.1469  1 Zn 2.00, 2 Bi 2.16-2.22
O 0.5920 0.0273 0.3132  1 Fe 2.05, 2 Bi 2.22-2.28
O 0.3041 0.2798 0.9665  2 Fe 1.97-2.07, 2 Zn 2.01-2.09
O 0.1959 0.2798 0.4665  2 Fe 1.97-2.07, 2 Zn 2.01-2.09
O 0.7113 0.4754 0.4468  1 Fe 1.88, 2 Zn 1.99-2.06
O 0.7113 0.9754 0.0532  1 Fe 1.88, 2 Zn 1.99-2.06
O 0.5920 0.5273 0.1868  1 Fe 2.05, 2 Bi 2.22-2.28
O 0.8041 0.7202 0.5335  2 Fe 1.97-2.07, 2 Zn 2.01-2.09
O 0.8041 0.2202 0.9665  2 Fe 1.97-2.07, 2 Zn 2.01-2.09
O 0.6959 0.7202 0.0335  2 Fe 1.97-2.07, 2 Zn 2.01-2.09
O 0.9080 0.5273 0.6868  1 Fe 2.05, 2 Bi 2.22-2.28
O 0.9763 0.7017 0.8531  1 Zn 2.00, 2 Bi 2.16-2.22
O 0.4763 0.2983 0.6469  1 Zn 2.00, 2 Bi 2.16-2.22
O 0.0920 0.4727 0.3132  1 Fe 2.05, 2 Bi 2.22-2.28
O 0.4080 0.4727 0.8132  1 Fe 2.05, 2 Bi 2.22-2.28
O 0.1479 0.2133 0.3069  1 Fe 2.06, 2 Bi 2.19-2.29
O 0.4080 0.9727 0.6868  1 Fe 2.05, 2 Bi 2.22-2.28
O 0.1479 0.7133 0.1931  1 Fe 2.06, 2 Bi 2.19-2.29

Properties
Energy relative to the elements   -137 kJ per mole of atoms
Distance to the lowest polymorph of the same formula   0.38 eV/f.u.
Total energy after the MP2020 corrections   -0.2284 Ha/atom
Uncorrected energy   -5.504 eV/atom

Entry 3:
Density functional theory data (PBE with a Hubbard U) for a relaxed structure of Li9Mn2Co5O16.

a b c (Å): 3.0188 6.4224 15.4711
angles (deg): 88.79 86.47 76.60
Closest atoms and distances in Å follow each position.
Element x y z (fractional)
Li 0.9375 0.1253 0.8126  6 O 2.10-2.21
Li 0.1815 0.6306 0.5605  5 O 2.04-2.19
Li 0.4327 0.1291 0.3101  6 O 2.03-2.22
Li 0.5657 0.8722 0.6865  6 O 2.07-2.26
Li 0.8037 0.3798 0.4368  6 O 2.05-2.19
Li 0.0705 0.8712 0.1913  6 O 2.05-2.21
Li 0.6997 0.6133 0.0637  5 O 2.02-2.23
Li 0.3115 0.3780 0.9389  6 O 2.08-2.28
Li 0.7487 0.5014 0.2508  6 O 2.02-2.23
Mn 0.9870 0.0012 0.0026  4 O 1.93-1.98
Mn 0.8918 0.2483 0.6226  4 O 1.95-1.98
Co 0.2578 0.5020 0.7500  6 O 1.92-2.10
Co 0.5007 0.9969 0.4972  4 O 1.89-1.94
Co 0.1217 0.7404 0.3701  2 O 1.74-1.87
Co 0.3786 0.2606 0.1321  2 O 1.74-1.88
Co 0.6167 0.7488 0.8749  6 O 1.92-2.10
O 0.4283 0.0487 0.9080  1 Co 1.95, 1 Mn 1.98, 2 Li 2.12-2.13
O 0.7586 0.5478 0.6593  1 Mn 1.96, 2 Co 2.07-2.09, 2 Li 2.07
O 0.9477 0.0366 0.4090  2 Co 1.92-1.95
O 0.1130 0.7965 0.7837  3 Co 1.92-2.10, 2 Li 2.09-2.10
O 0.3278 0.2947 0.5304  1 Co 1.93, 1 Mn 1.95, 2 Li 2.13-2.15
O 0.5579 0.8083 0.2903  1 Co 1.87, 2 Li 2.02-2.03
O 0.2304 0.5338 0.1518  1 Co 1.74
O 0.8224 0.2978 0.0361  1 Mn 1.93, 1 Co 1.99, 1 Li 2.02
O 0.4511 0.2018 0.7168  1 Co 1.95, 1 Mn 1.98, 2 Li 2.12
O 0.6695 0.7066 0.4634  2 Co 1.89-1.97, 1 Li 2.09
O 0.9354 0.1940 0.2117  2 Co 1.88-2.10, 2 Li 2.02-2.05
O 0.0632 0.9482 0.5880  1 Co 1.94, 1 Mn 1.95, 1 Li 2.04
O 0.2663 0.4671 0.3493  1 Co 1.74
O 0.5449 0.9617 0.0950  1 Mn 1.95, 1 Co 1.96, 1 Li 2.17
O 0.1157 0.7034 0.9652  1 Mn 1.95, 2 Co 2.06-2.08, 2 Li 2.07-2.08
O 0.7618 0.4540 0.8411  3 Co 1.92-2.10, 2 Li 2.10

Properties
Energy relative to the elements   -172 kJ per mole of atoms
Distance to the lowest polymorph of the same formula   2.56 eV/f.u.
Total energy after the MP2020 corrections   -0.2381 Ha/atom
Uncorrected energy   -5.775 eV/atom

Entry 4:
Density functional theory data (PBE with a Hubbard U) for a relaxed structure of FeOF.

a b c (Å): 4.7890 4.7890 6.0203
angles (deg): 90.00 90.00 90.00
Closest atoms and distances in Å follow each position.
Element x y z (fractional)
Fe 0.4586 0.5414 0.2500  3 O 1.89-1.96, 2 F 2.06
Fe 0.5414 0.4586 0.7500  3 O 1.89-1.96, 2 F 2.06
Fe 0.0415 0.0415 0.0000  3 O 1.89-1.96, 2 F 2.06
Fe 0.9585 0.9585 0.5000  3 O 1.89-1.96, 2 F 2.06
O 0.1798 0.8202 0.2500  3 Fe 1.89-1.96
O 0.6798 0.6798 0.5000  3 Fe 1.89-1.96
O 0.8202 0.1798 0.7500  3 Fe 1.89-1.96
O 0.3202 0.3202 0.0000  3 Fe 1.89-1.96
F 0.7958 0.2042 0.2500  3 Fe 2.06-2.28
F 0.2958 0.2958 0.5000  3 Fe 2.06-2.28
F 0.2042 0.7958 0.7500  3 Fe 2.06-2.28
F 0.7042 0.7042 0.0000  3 Fe 2.06-2.28

Properties
Energy relative to the elements   -202 kJ per mole of atoms
Total energy after the MP2020 corrections   -0.2648 Ha/atom
Uncorrected energy   -6.070 eV/atom
Maximum piezoelectric response   0.08 C/m2

- Which formula does entry 1 have?
  Li8CoO4F2

- Which of these has the lowest energy relative to the elements?
  Li8CoO4F2

- Which value of energy relative to the elements does entry 4 give?
  -202 kJ per mole of atoms